Material: Rb2UF6
Method: DFT, PBE
State: optimized geometry

Computed properties:
* formation energy: -3.595 eV per atom

Unit cell a=7.151 b=7.151 c=7.601 alpha=90.00 beta=90.00 gamma=120.78
Atoms (fractional coordinates):
Rb 0.158 0.842 0.502
Rb 0.158 0.842 0.998
Rb 0.842 0.158 0.002
Rb 0.842 0.158 0.498
U 0.448 0.552 0.750
U 0.552 0.448 0.250
F 0.108 0.505 0.750
F 0.197 0.214 0.250
F 0.214 0.197 0.750
F 0.400 0.600 0.042
F 0.400 0.600 0.458
F 0.495 0.892 0.750
F 0.505 0.108 0.250
F 0.600 0.400 0.542
F 0.600 0.400 0.958
F 0.786 0.803 0.250
F 0.803 0.786 0.750
F 0.892 0.495 0.250